Record 1
DFT (GGA-PBE) results for a relaxed Ca3Er3Ge2BO13 crystal.

- Electronic total energy: -7.459 eV/atom
- Energy above the most stable polymorph in this dataset: 4 meV/atom
- Space-group type: C2, No. 5

Unit cell a=7.389 b=7.389 c=7.392 alpha=60.28 beta=60.28 gamma=90.37
Sites, in units of the cell vectors:
B: 0.503 0.497 0.000
O: 0.154 0.858 0.298
O: 0.431 0.585 0.157
O: 0.146 0.453 0.706
O: 0.415 0.569 0.843
O: 0.851 0.162 0.296
O: 0.455 0.158 0.702
O: 0.838 0.149 0.704
O: 0.842 0.545 0.298
O: 0.992 0.008 0.000
O: 0.142 0.846 0.702
O: 0.425 0.250 0.157
O: 0.750 0.575 0.843
O: 0.547 0.854 0.294
Ca: 0.233 0.229 0.538
Ca: 0.231 0.769 0.000
Ca: 0.771 0.767 0.462
Ge: 0.247 0.753 0.500
Ge: 0.747 0.253 0.500
Er: 0.229 0.224 0.999
Er: 0.776 0.771 0.001
Er: 0.774 0.226 0.000

Record 2
DFT (GGA-PBE) results for a relaxed Na14Mg5Si6Sn3S6O48 crystal.

- Electronic total energy: -6.092 eV/atom
- Space-group type: P1, No. 1

Unit cell a=18.208 b=9.081 c=22.315 alpha=90.20 beta=89.77 gamma=120.26
Sites, in units of the cell vectors:
O: 0.018 0.814 0.698
O: 0.912 0.802 0.310
O: 0.258 0.829 0.751
O: 0.563 0.482 0.578
O: 0.514 0.215 0.196
O: 0.179 0.875 0.858
O: 0.744 0.163 0.245
O: 0.825 0.518 0.643
O: 0.758 0.830 0.753
O: 0.486 0.781 0.804
O: 0.258 0.646 0.578
O: 0.348 0.525 0.248
O: 0.253 0.158 0.922
O: 0.773 0.691 0.972
O: 0.148 0.811 0.258
O: 0.922 0.832 0.589
O: 0.682 0.493 0.357
O: 0.422 0.536 0.020
O: 0.939 0.520 0.137
O: 0.074 0.692 0.470
O: 0.256 0.869 0.077
O: 0.156 0.492 0.757
O: 0.408 0.798 0.314
O: 0.400 0.815 0.911
O: 0.936 0.363 0.925
O: 0.828 0.517 0.924
O: 0.261 0.632 0.862
O: 0.938 0.358 0.635
O: 0.422 0.535 0.741
O: 0.571 0.452 0.971
O: 0.061 0.640 0.361
O: 0.591 0.953 0.192
O: 0.675 0.506 0.076
O: 0.647 0.460 0.474
O: 0.182 0.494 0.358
O: 0.482 0.172 0.586
O: 0.988 0.179 0.586
O: 0.273 0.856 0.472
O: 0.244 0.114 0.641
O: 0.078 0.183 0.413
O: 0.987 0.191 0.304
O: 0.682 0.873 0.856
O: 0.853 0.150 0.028
O: 0.927 0.540 0.028
O: 0.829 0.140 0.424
O: 0.718 0.147 0.524
O: 0.558 0.636 0.363
O: 0.606 0.177 0.811
O: 0.109 0.181 0.810
O: 0.080 0.692 0.756
O: 0.761 0.873 0.078
O: 0.757 0.676 0.250
O: 0.396 0.835 0.194
O: 0.596 0.233 0.691
O: 0.434 0.506 0.425
O: 0.720 0.287 0.024
O: 0.895 0.824 0.188
O: 0.077 0.467 0.255
O: 0.424 0.313 0.246
O: 0.583 0.164 0.091
O: 0.657 0.492 0.759
O: 0.411 0.006 0.807
O: 0.508 0.814 0.414
O: 0.925 0.318 0.242
O: 0.665 0.837 0.576
O: 0.759 0.892 0.364
O: 0.577 0.689 0.754
O: 0.985 0.796 0.085
O: 0.328 0.140 0.425
O: 0.435 0.358 0.635
O: 0.259 0.892 0.366
O: 0.489 0.191 0.306
O: 0.828 0.132 0.136
O: 0.648 0.810 0.258
O: 0.488 0.813 0.083
O: 0.074 0.457 0.972
O: 0.392 0.955 0.688
O: 0.066 0.649 0.078
O: 0.906 0.014 0.814
O: 0.433 0.361 0.922
O: 0.574 0.650 0.079
O: 0.090 0.948 0.191
O: 0.236 0.353 0.144
O: 0.009 0.204 0.913
O: 0.915 0.026 0.087
O: 0.435 0.497 0.141
O: 0.654 0.841 0.975
O: 0.217 0.285 0.025
O: 0.081 0.979 0.914
O: 0.988 0.784 0.806
O: 0.574 0.691 0.471
O: 0.412 0.029 0.089
O: 0.066 0.488 0.578
O: 0.271 0.685 0.970
O: 0.245 0.165 0.244
O: 0.509 0.203 0.911
O: 0.171 0.837 0.577
O: 0.894 0.961 0.693
O: 0.350 0.145 0.028
O: 0.061 0.485 0.864
O: 0.107 0.033 0.309
O: 0.751 0.651 0.580
O: 0.851 0.525 0.245
O: 0.152 0.464 0.477
O: 0.774 0.858 0.471
O: 0.743 0.370 0.142
O: 0.319 0.122 0.136
O: 0.745 0.331 0.748
O: 0.426 0.308 0.527
O: 0.925 0.535 0.744
O: 0.413 0.804 0.586
O: 0.516 0.812 0.695
O: 0.929 0.311 0.527
O: 0.399 0.976 0.412
O: 0.582 0.012 0.590
O: 0.326 0.528 0.637
O: 0.899 0.976 0.410
O: 0.559 0.484 0.864
O: 0.256 0.676 0.251
O: 0.901 0.823 0.913
O: 0.577 0.180 0.412
O: 0.343 0.167 0.747
O: 0.860 0.563 0.524
O: 0.843 0.171 0.747
O: 0.349 0.550 0.529
O: 0.016 0.220 0.195
O: 0.152 0.842 0.978
O: 0.092 0.219 0.690
O: 0.579 0.975 0.913
O: 0.222 0.147 0.523
O: 0.577 0.466 0.255
O: 0.246 0.335 0.744
O: 0.321 0.508 0.920
O: 0.609 0.032 0.311
O: 0.165 0.495 0.077
O: 0.083 0.154 0.089
O: 0.739 0.110 0.643
O: 0.761 0.631 0.864
O: 0.252 0.359 0.418
O: 0.754 0.148 0.918
O: 0.751 0.356 0.418
O: 0.089 0.017 0.590
O: 0.009 0.814 0.412
O: 0.936 0.504 0.421
Si: 0.857 0.010 0.754
Si: 0.149 0.300 0.752
Si: 0.166 0.960 0.921
Si: 0.651 0.999 0.254
Si: 0.356 0.711 0.254
Si: 0.478 0.620 0.085
Si: 0.664 0.369 0.418
Si: 0.650 0.301 0.755
Si: 0.153 0.001 0.253
Si: 0.183 0.339 0.087
Si: 0.165 0.371 0.419
Si: 0.684 0.335 0.084
Si: 0.665 0.961 0.918
Si: 0.836 0.632 0.585
Si: 0.357 0.006 0.752
Si: 0.855 0.708 0.252
Si: 0.682 0.030 0.584
Si: 0.185 0.031 0.583
Sn: 0.671 0.675 0.814
Sn: 0.172 0.678 0.814
Sn: 0.676 0.674 0.312
Sn: 0.326 0.324 0.987
Sn: 0.000 0.006 0.651
Sn: 0.506 0.019 0.655
Sn: 0.005 0.997 0.155
Sn: 0.502 0.979 0.150
Sn: 0.177 0.677 0.313
Mg: 0.823 0.331 0.187
Mg: 0.327 0.311 0.687
Mg: 0.330 0.343 0.186
Mg: 0.819 0.311 0.984
Mg: 0.005 0.009 0.847
Mg: 0.172 0.671 0.018
Mg: 0.504 0.011 0.850
Mg: 0.506 0.005 0.347
Mg: 0.659 0.664 0.020
Mg: 0.824 0.320 0.684
Mg: 0.820 0.339 0.488
Mg: 0.164 0.665 0.517
Mg: 0.672 0.663 0.521
Mg: 0.005 0.003 0.348
Mg: 0.321 0.328 0.483
Na: 0.004 0.000 0.501
Na: 0.492 0.680 0.923
Na: 0.522 0.704 0.582
Na: 0.012 0.698 0.580
Na: 0.821 0.327 0.329
Na: 0.195 0.366 0.248
Na: 0.008 0.005 0.997
Na: 0.674 0.670 0.663
Na: 0.316 0.633 0.747
Na: 0.664 0.344 0.581
Na: 0.502 0.993 0.000
Na: 0.020 0.338 0.082
Na: 0.823 0.954 0.590
Na: 0.845 0.032 0.908
Na: 0.331 0.307 0.827
Na: 0.185 0.678 0.165
Na: 0.492 0.306 0.419
Na: 0.666 0.669 0.163
Na: 0.513 0.018 0.497
Na: 0.166 0.053 0.416
Na: 0.846 0.654 0.418
Na: 0.823 0.679 0.090
Na: 0.694 0.024 0.748
Na: 0.348 0.658 0.407
Na: 0.665 0.279 0.916
Na: 0.690 0.361 0.248
Na: 0.523 0.351 0.087
Na: 0.667 0.053 0.416
Na: 0.815 0.629 0.738
Na: 0.325 0.330 0.326
Na: 0.324 0.971 0.590
Na: 0.163 0.282 0.911
Na: 0.155 0.978 0.081
Na: 0.989 0.300 0.421
Na: 0.191 0.022 0.748
Na: 0.989 0.678 0.918
Na: 0.827 0.311 0.826
Na: 0.647 0.962 0.077
Na: 0.152 0.326 0.579
Na: 0.997 0.646 0.251
Na: 0.164 0.668 0.666
Na: 0.495 0.638 0.243
S: 0.498 0.290 0.251
S: 0.519 0.663 0.419
S: 0.476 0.334 0.582
S: 0.000 0.703 0.752
S: 0.979 0.336 0.582
S: 0.518 0.372 0.918
S: 0.333 0.039 0.085
S: 0.837 0.046 0.083
S: 0.816 0.667 0.919
S: 0.020 0.663 0.417
S: 0.978 0.622 0.083
S: 0.315 0.668 0.917
S: 0.335 0.628 0.583
S: 0.816 0.966 0.419
S: 0.498 0.702 0.751
S: 0.020 0.377 0.919
S: 0.998 0.294 0.251
S: 0.316 0.965 0.420

Record 3
DFT (GGA-PBE) results for a relaxed MgAg4O6 crystal.

- Electronic total energy: -4.339 eV/atom
- Energy above the most stable polymorph in this dataset: 0 meV/atom
- Space-group type: R-3m, No. 166

Unit cell a=5.884 b=5.884 c=5.884 alpha=72.02 beta=72.02 gamma=72.02
Sites, in units of the cell vectors:
Ag: 0.500 0.500 0.000
Ag: 0.500 0.000 0.500
Ag: 0.000 0.000 0.000
Ag: 0.000 0.500 0.500
O: 0.674 0.262 0.262
O: 0.738 0.326 0.738
O: 0.326 0.738 0.738
O: 0.738 0.738 0.326
O: 0.262 0.674 0.262
O: 0.262 0.262 0.674
Mg: 0.500 0.500 0.500

Record 4
DFT (GGA-PBE) results for a relaxed Zr32N17O39 crystal.

- Electronic total energy: -9.610 eV/atom
- Space-group type: P1, No. 1

Unit cell a=8.900 b=8.902 c=14.588 alpha=90.01 beta=90.00 gamma=110.05
Sites, in units of the cell vectors:
O: 0.368 0.401 0.866
O: 0.614 0.647 0.120
O: 0.146 0.113 0.380
O: 0.510 0.750 0.984
O: 0.368 0.401 0.633
O: 0.553 0.810 0.250
O: 0.146 0.113 0.121
O: 0.646 0.614 0.880
O: 0.114 0.145 0.880
O: 0.750 0.510 0.484
O: 0.431 0.932 0.871
O: 0.868 0.901 0.367
O: 0.255 0.014 0.984
O: 0.646 0.614 0.620
O: 0.018 0.751 0.484
O: 0.901 0.868 0.633
O: 0.809 0.553 0.749
O: 0.746 0.505 0.017
O: 0.899 0.868 0.864
O: 0.932 0.432 0.372
O: 0.613 0.646 0.380
O: 0.010 0.251 0.016
O: 0.310 0.054 0.250
O: 0.250 0.010 0.516
O: 0.518 0.251 0.516
O: 0.401 0.368 0.367
O: 0.509 0.750 0.516
O: 0.251 0.517 0.016
O: 0.751 0.018 0.516
O: 0.518 0.251 0.983
O: 0.867 0.903 0.136
O: 0.750 0.017 0.984
O: 0.931 0.430 0.129
O: 0.113 0.146 0.620
O: 0.054 0.309 0.750
O: 0.401 0.368 0.133
O: 0.432 0.932 0.628
O: 0.251 0.518 0.484
O: 0.010 0.250 0.484
Zr: 0.549 0.505 0.750
Zr: 0.892 0.620 0.897
Zr: 0.776 0.276 0.478
Zr: 0.269 0.775 0.980
Zr: 0.776 0.275 0.021
Zr: 0.647 0.861 0.637
Zr: 0.616 0.891 0.393
Zr: 0.004 0.047 0.750
Zr: 0.502 0.504 0.000
Zr: 0.890 0.616 0.607
Zr: 0.864 0.650 0.134
Zr: 0.360 0.147 0.637
Zr: 0.503 0.503 0.500
Zr: 0.391 0.118 0.106
Zr: 0.002 0.002 0.500
Zr: 0.276 0.776 0.521
Zr: 0.505 0.547 0.250
Zr: 0.646 0.860 0.863
Zr: 0.617 0.890 0.106
Zr: 0.361 0.147 0.863
Zr: 0.788 0.289 0.750
Zr: 0.147 0.360 0.363
Zr: 0.004 0.993 0.000
Zr: 0.289 0.789 0.750
Zr: 0.047 0.005 0.250
Zr: 0.391 0.116 0.393
Zr: 0.287 0.787 0.250
Zr: 0.860 0.646 0.362
Zr: 0.116 0.388 0.894
Zr: 0.145 0.359 0.137
Zr: 0.788 0.289 0.250
Zr: 0.116 0.390 0.607
N: 0.144 0.643 0.858
N: 0.866 0.365 0.613
N: 0.644 0.144 0.140
N: 0.644 0.144 0.360
N: 0.254 0.534 0.250
N: 0.867 0.367 0.887
N: 0.003 0.230 0.250
N: 0.534 0.254 0.750
N: 0.367 0.868 0.114
N: 0.230 0.003 0.749
N: 0.034 0.754 0.251
N: 0.503 0.730 0.750
N: 0.365 0.865 0.387
N: 0.753 0.035 0.749
N: 0.018 0.752 0.016
N: 0.729 0.502 0.251
N: 0.144 0.644 0.640

Record 5
DFT (GGA-PBE) results for a relaxed Nd5Ir2 crystal.

- Electronic total energy: -6.443 eV/atom
- Space-group type: C2/c, No. 15

Unit cell a=8.979 b=8.979 c=7.350 alpha=83.47 beta=83.47 gamma=43.85
Sites, in units of the cell vectors:
Nd: 0.650 0.785 0.184
Nd: 0.350 0.215 0.816
Nd: 0.785 0.650 0.684
Nd: 0.215 0.350 0.316
Nd: 0.018 0.797 0.920
Nd: 0.203 0.982 0.580
Nd: 0.567 0.433 0.750
Nd: 0.797 0.018 0.420
Nd: 0.982 0.203 0.080
Nd: 0.433 0.567 0.250
Ir: 0.821 0.402 0.426
Ir: 0.402 0.821 0.926
Ir: 0.598 0.179 0.074
Ir: 0.179 0.598 0.574

Record 6
DFT (GGA-PBE) results for a relaxed K3Cu8Se6 crystal.

- Electronic total energy: -3.816 eV/atom
- Space-group type: C2/m, No. 12

Unit cell a=9.228 b=9.228 c=10.123 alpha=75.13 beta=75.13 gamma=24.95
Sites, in units of the cell vectors:
Cu: 0.302 0.302 0.911
Cu: 0.517 0.517 0.363
Cu: 0.921 0.921 0.528
Cu: 0.483 0.483 0.637
Cu: 0.698 0.698 0.089
Cu: 0.895 0.895 0.783
Cu: 0.105 0.105 0.217
Cu: 0.079 0.079 0.472
Se: 0.039 0.039 0.716
Se: 0.841 0.841 0.024
Se: 0.159 0.159 0.976
Se: 0.343 0.343 0.647
Se: 0.961 0.961 0.284
Se: 0.657 0.657 0.353
K: 0.691 0.691 0.699
K: 0.309 0.309 0.301
K: 0.500 0.500 0.000